! Na10Ca2Ti6Si7S5O48, relaxed, DFT PBE-GGA; values from VASP
&SYSTEM
  ibrav = 0, nat = 234, ntyp = 6
/
ATOMIC_SPECIES
Na 22.99 Na.upf
Ca 40.08 Ca.upf
Ti 47.87 Ti.upf
Si 28.09 Si.upf
S 32.06 S.upf
O 16.00 O.upf
CELL_PARAMETERS angstrom
18.005 -0.027 0.054
-4.513 7.824 -0.004
0.070 0.029 22.419
ATOMIC_POSITIONS crystal
Na 0.811 0.006 0.251
Na 0.190 0.379 0.247
Na 0.690 0.365 0.253
Na 0.994 0.611 0.254
Na 0.496 0.634 0.244
Na 0.313 0.618 0.753
Na 0.996 0.358 0.745
Na 0.495 0.381 0.754
Na 0.191 0.016 0.746
Na 0.690 0.998 0.747
Na 0.152 0.334 0.576
Na 0.016 0.691 0.586
Na 0.488 0.667 0.917
Na 0.995 0.687 0.924
Na 0.846 0.019 0.917
Na 0.494 0.305 0.424
Na 0.162 0.023 0.417
Na 0.347 0.669 0.415
Na 0.990 0.995 0.499
Na 0.517 0.013 0.498
Na 0.015 0.020 0.998
Na 0.506 0.023 0.000
Na 0.326 0.319 0.832
Na 0.828 0.335 0.832
Na 0.337 0.337 0.332
Na 0.830 0.332 0.333
Na 0.175 0.677 0.165
Na 0.660 0.668 0.159
Na 0.172 0.683 0.662
Na 0.673 0.672 0.664
Ca 0.331 0.327 0.685
Ca 0.837 0.332 0.683
Ca 0.339 0.343 0.182
Ca 0.831 0.329 0.184
Ca 0.164 0.666 0.017
Ca 0.664 0.664 0.516
Ti 0.996 0.998 0.355
Ti 0.502 0.987 0.356
Ti 0.001 0.016 0.856
Ti 0.499 0.002 0.855
Ti 0.000 0.029 0.644
Ti 0.494 0.984 0.650
Ti 0.993 0.007 0.149
Ti 0.495 0.961 0.145
Ti 0.341 0.322 0.981
Ti 0.830 0.339 0.973
Ti 0.326 0.318 0.476
Ti 0.839 0.346 0.477
Ti 0.659 0.659 0.012
Ti 0.162 0.671 0.513
Ti 0.170 0.661 0.317
Ti 0.663 0.653 0.316
Ti 0.164 0.675 0.816
Ti 0.673 0.684 0.817
Si 0.640 0.984 0.251
Si 0.352 0.719 0.253
Si 0.854 0.718 0.253
Si 0.006 0.293 0.253
Si 0.140 0.297 0.751
Si 0.506 0.719 0.754
Si 0.354 0.991 0.754
Si 0.853 0.984 0.752
Si 0.982 0.340 0.582
Si 0.183 0.029 0.585
Si 0.486 0.629 0.082
Si 0.809 0.666 0.917
Si 0.020 0.374 0.918
Si 0.523 0.375 0.913
Si 0.168 0.972 0.916
Si 0.665 0.960 0.917
Si 0.311 0.953 0.416
Si 0.163 0.372 0.418
Si 0.668 0.365 0.416
Si 0.019 0.663 0.412
Si 0.518 0.663 0.418
S 0.139 0.992 0.251
S 0.503 0.286 0.253
S 0.639 0.286 0.751
S 0.002 0.717 0.753
S 0.482 0.320 0.585
S 0.680 0.039 0.585
S 0.336 0.639 0.581
S 0.836 0.633 0.583
S 0.981 0.642 0.084
S 0.341 0.040 0.084
S 0.834 0.029 0.081
S 0.181 0.320 0.085
S 0.683 0.336 0.082
S 0.316 0.664 0.914
S 0.816 0.969 0.414
O 0.101 0.009 0.307
O 0.586 0.003 0.306
O 0.409 0.825 0.309
O 0.917 0.823 0.309
O 0.496 0.195 0.309
O 0.004 0.172 0.307
O 0.083 0.166 0.804
O 0.598 0.185 0.806
O 0.504 0.829 0.811
O 0.996 0.800 0.807
O 0.417 0.004 0.809
O 0.908 0.992 0.810
O 0.406 0.970 0.694
O 0.907 0.981 0.691
O 0.085 0.205 0.688
O 0.587 0.198 0.697
O 0.009 0.811 0.697
O 0.515 0.840 0.693
O 0.402 0.824 0.191
O 0.906 0.845 0.194
O 0.015 0.194 0.191
O 0.510 0.201 0.199
O 0.086 0.978 0.198
O 0.580 0.965 0.191
O 0.442 0.333 0.640
O 0.959 0.391 0.645
O 0.228 0.087 0.648
O 0.723 0.115 0.643
O 0.324 0.542 0.637
O 0.826 0.538 0.638
O 0.458 0.545 0.147
O 0.939 0.549 0.140
O 0.329 0.115 0.138
O 0.824 0.100 0.138
O 0.223 0.330 0.143
O 0.725 0.358 0.140
O 0.230 0.307 0.034
O 0.737 0.318 0.033
O 0.418 0.515 0.027
O 0.929 0.546 0.030
O 0.345 0.148 0.030
O 0.844 0.140 0.029
O 0.239 0.171 0.530
O 0.728 0.149 0.534
O 0.346 0.552 0.528
O 0.843 0.538 0.530
O 0.429 0.310 0.531
O 0.913 0.319 0.529
O 0.281 0.689 0.968
O 0.764 0.705 0.973
O 0.072 0.432 0.977
O 0.583 0.471 0.970
O 0.137 0.843 0.970
O 0.648 0.825 0.970
O 0.263 0.823 0.472
O 0.783 0.873 0.469
O 0.155 0.466 0.477
O 0.637 0.432 0.470
O 0.082 0.695 0.470
O 0.571 0.713 0.477
O 0.064 0.633 0.353
O 0.570 0.631 0.360
O 0.245 0.863 0.359
O 0.763 0.881 0.361
O 0.185 0.500 0.359
O 0.683 0.496 0.356
O 0.069 0.508 0.860
O 0.564 0.503 0.855
O 0.183 0.870 0.856
O 0.689 0.882 0.857
O 0.263 0.647 0.860
O 0.747 0.636 0.859
O 0.012 0.836 0.408
O 0.495 0.815 0.405
O 0.408 0.990 0.411
O 0.905 0.995 0.407
O 0.085 0.176 0.411
O 0.584 0.176 0.402
O 0.994 0.175 0.905
O 0.510 0.184 0.907
O 0.085 0.995 0.901
O 0.580 0.978 0.912
O 0.405 0.817 0.908
O 0.908 0.823 0.911
O 0.486 0.157 0.586
O 0.988 0.162 0.585
O 0.087 0.016 0.587
O 0.593 0.029 0.587
O 0.416 0.811 0.585
O 0.921 0.799 0.584
O 0.490 0.820 0.084
O 0.985 0.813 0.085
O 0.424 0.043 0.084
O 0.917 0.022 0.085
O 0.094 0.157 0.086
O 0.598 0.178 0.082
O 0.347 0.160 0.755
O 0.842 0.153 0.754
O 0.234 0.317 0.752
O 0.725 0.303 0.748
O 0.420 0.537 0.753
O 0.930 0.538 0.753
O 0.341 0.529 0.255
O 0.845 0.532 0.251
O 0.430 0.320 0.252
O 0.919 0.302 0.252
O 0.225 0.146 0.248
O 0.733 0.153 0.250
O 0.327 0.511 0.915
O 0.819 0.493 0.927
O 0.427 0.359 0.926
O 0.923 0.363 0.925
O 0.256 0.159 0.927
O 0.753 0.146 0.929
O 0.316 0.142 0.426
O 0.823 0.141 0.417
O 0.253 0.358 0.425
O 0.754 0.349 0.426
O 0.423 0.482 0.424
O 0.924 0.494 0.425
O 0.171 0.471 0.082
O 0.676 0.489 0.072
O 0.067 0.665 0.083
O 0.583 0.659 0.070
O 0.269 0.867 0.078
O 0.760 0.856 0.075
O 0.167 0.837 0.571
O 0.670 0.868 0.583
O 0.259 0.657 0.576
O 0.766 0.667 0.578
O 0.080 0.498 0.570
O 0.568 0.468 0.582
O 0.144 0.833 0.251
O 0.646 0.810 0.257
O 0.256 0.699 0.255
O 0.760 0.707 0.257
O 0.092 0.483 0.254
O 0.586 0.462 0.254
O 0.146 0.484 0.757
O 0.644 0.454 0.753
O 0.085 0.708 0.754
O 0.592 0.701 0.754
O 0.260 0.814 0.756
O 0.756 0.812 0.754
! * space-group type: P1, No. 1
! * calculated density: 2.7 g/cm3
! * size of the total moment: 0.000 μB/atom
! * total energy after the MP2020 corrections: -0.272 Ha/atom
! * energy of formation from the pure elements: -267.0 kJ/mol of atoms